Entry A
Crystalline CsKMg14 at its relaxed geometry. Source: the Materials Project database, functional PBE-GGA.

The structure in CIF format:
```
data_CsKMg14
_chemical_formula_sum 'Cs1 K1 Mg14'
_cell_length_a 6.755
_cell_length_b 6.550
_cell_length_c 11.198
_cell_angle_alpha 90.00
_cell_angle_beta 90.00
_cell_angle_gamma 119.00
_space_group_name_H-M_alt 'P 1'
_space_group_IT_number 1
loop_
_space_group_symop_operation_xyz
'x,y,z'
loop_
_atom_site_label
_atom_site_type_symbol
_atom_site_fract_x
_atom_site_fract_y
_atom_site_fract_z
Mg1 Mg 0.669 0.335 0.125
Mg2 Mg 0.161 0.831 0.625
Mg3 Mg 0.817 0.659 0.391
Mg4 Mg 0.817 0.659 0.859
Mg5 Mg 0.823 0.162 0.384
Mg6 Mg 0.345 0.669 0.406
Mg7 Mg 0.669 0.834 0.125
Mg8 Mg 0.669 0.334 0.625
Mg9 Mg 0.345 0.177 0.406
Mg10 Mg 0.669 0.835 0.625
Mg11 Mg 0.345 0.669 0.844
Mg12 Mg 0.161 0.330 0.625
Mg13 Mg 0.345 0.177 0.844
Mg14 Mg 0.823 0.162 0.866
Cs1 Cs 0.168 0.834 0.125
K1 K 0.172 0.336 0.125
```

Output
The spin magnetization is 0.00 μB/atom.

=====

Entry B
Crystalline CsKMg14 at its relaxed geometry. Source: the Materials Project database, functional PBE-GGA.

The structure in CIF format:
```
data_CsKMg14
_chemical_formula_sum 'Cs1 K1 Mg14'
_cell_length_a 6.966
_cell_length_b 6.966
_cell_length_c 10.616
_cell_angle_alpha 90.00
_cell_angle_beta 90.00
_cell_angle_gamma 120.00
_space_group_name_H-M_alt 'P 1'
_space_group_IT_number 1
loop_
_space_group_symop_operation_xyz
'x,y,z'
loop_
_atom_site_label
_atom_site_type_symbol
_atom_site_fract_x
_atom_site_fract_y
_atom_site_fract_z
Mg1 Mg 0.351 0.701 0.881
Mg2 Mg 0.664 0.836 0.125
Mg3 Mg 0.833 0.667 0.376
Mg4 Mg 0.664 0.328 0.125
Mg5 Mg 0.351 0.149 0.881
Mg6 Mg 0.172 0.836 0.125
Mg7 Mg 0.799 0.149 0.369
Mg8 Mg 0.662 0.324 0.625
Mg9 Mg 0.176 0.838 0.625
Mg10 Mg 0.833 0.667 0.874
Mg11 Mg 0.799 0.149 0.881
Mg12 Mg 0.662 0.838 0.625
Mg13 Mg 0.351 0.149 0.369
Mg14 Mg 0.351 0.701 0.369
K1 K 0.167 0.333 0.125
Cs1 Cs 0.167 0.333 0.625
```

Output
The spin magnetization is 0.00 μB/atom.

=====

Which structure loses on stability? entry B does.

=====

Entry A
Crystalline Cs3LaO3 at its relaxed geometry. Source: the Materials Project database, functional PBE-GGA.

The structure in CIF format:
```
data_Cs3LaO3
_chemical_formula_sum 'Cs12 La4 O12'
_cell_length_a 7.828
_cell_length_b 8.640
_cell_length_c 12.479
_cell_angle_alpha 85.38
_cell_angle_beta 90.00
_cell_angle_gamma 90.00
_space_group_name_H-M_alt 'P 1'
_space_group_IT_number 1
loop_
_space_group_symop_operation_xyz
'x,y,z'
loop_
_atom_site_label
_atom_site_type_symbol
_atom_site_fract_x
_atom_site_fract_y
_atom_site_fract_z
O1 O 0.553 0.897 0.406
O2 O 0.053 0.103 0.094
O3 O 0.856 0.251 0.457
O4 O 0.442 0.307 0.304
O5 O 0.144 0.749 0.543
O6 O 0.558 0.693 0.696
O7 O 0.942 0.693 0.196
O8 O 0.356 0.749 0.043
O9 O 0.447 0.103 0.594
O10 O 0.947 0.897 0.906
O11 O 0.644 0.251 0.957
O12 O 0.058 0.307 0.804
Cs1 Cs 0.120 0.058 0.344
Cs2 Cs 0.321 0.619 0.305
Cs3 Cs 0.880 0.942 0.656
Cs4 Cs 0.840 0.652 0.424
Cs5 Cs 0.340 0.348 0.076
Cs6 Cs 0.179 0.619 0.805
Cs7 Cs 0.160 0.348 0.576
Cs8 Cs 0.821 0.381 0.195
Cs9 Cs 0.660 0.652 0.924
Cs10 Cs 0.620 0.942 0.156
Cs11 Cs 0.380 0.058 0.844
Cs12 Cs 0.679 0.381 0.695
La1 La 0.410 0.835 0.570
La2 La 0.910 0.165 0.930
La3 La 0.590 0.165 0.430
La4 La 0.090 0.835 0.070
```

Output
The spin magnetization is 0.00 μB/atom.

=====

Entry B
Crystalline Cs3LaO3 at its relaxed geometry. Source: the Materials Project database, functional PBE-GGA.

The structure in CIF format:
```
data_Cs3LaO3
_chemical_formula_sum 'Cs6 La2 O6'
_cell_length_a 7.801
_cell_length_b 7.801
_cell_length_c 7.834
_cell_angle_alpha 85.28
_cell_angle_beta 85.28
_cell_angle_gamma 116.46
_space_group_name_H-M_alt 'P 1'
_space_group_IT_number 1
loop_
_space_group_symop_operation_xyz
'x,y,z'
loop_
_atom_site_label
_atom_site_type_symbol
_atom_site_fract_x
_atom_site_fract_y
_atom_site_fract_z
Cs1 Cs 0.354 0.354 0.351
Cs2 Cs 0.646 0.646 0.649
Cs3 Cs 0.212 0.788 0.500
Cs4 Cs 0.258 0.742 0.000
Cs5 Cs 0.742 0.258 0.000
Cs6 Cs 0.788 0.212 0.500
O1 O 0.453 0.174 0.731
O2 O 0.102 0.102 0.147
O3 O 0.898 0.898 0.853
O4 O 0.547 0.826 0.269
O5 O 0.174 0.453 0.731
O6 O 0.826 0.547 0.269
La1 La 0.181 0.181 0.846
La2 La 0.819 0.819 0.154
```

Output
The spin magnetization is 0.00 μB/atom.

=====

Which structure loses on stability? entry B does.

=====

Entry A
Crystalline CsLiMg14O15 at its relaxed geometry. Source: the Materials Project database, functional PBE-GGA.

The structure in CIF format:
```
data_CsLiMg14O15
_chemical_formula_sum 'Cs1 Li1 Mg14 O15'
_cell_length_a 10.698
_cell_length_b 8.235
_cell_length_c 4.180
_cell_angle_alpha 90.00
_cell_angle_beta 90.00
_cell_angle_gamma 90.00
_space_group_name_H-M_alt 'P 1'
_space_group_IT_number 1
loop_
_space_group_symop_operation_xyz
'x,y,z'
loop_
_atom_site_label
_atom_site_type_symbol
_atom_site_fract_x
_atom_site_fract_y
_atom_site_fract_z
O1 O 0.021 0.759 0.000
O2 O 0.827 0.500 0.000
O3 O 0.022 0.500 0.500
O4 O 0.208 0.500 0.000
O5 O 0.537 0.000 0.500
O6 O 0.017 0.000 0.500
O7 O 0.226 0.770 0.500
O8 O 0.021 0.241 0.000
O9 O 0.749 0.000 0.000
O10 O 0.226 0.230 0.500
O11 O 0.411 0.803 0.000
O12 O 0.805 0.250 0.500
O13 O 0.411 0.197 0.000
O14 O 0.413 0.500 0.500
O15 O 0.805 0.750 0.500
Cs1 Cs 0.564 0.500 0.000
Mg1 Mg 0.231 0.268 0.000
Mg2 Mg 0.521 0.000 0.000
Mg3 Mg 0.424 0.762 0.500
Mg4 Mg 0.195 0.000 0.500
Mg5 Mg 0.009 0.760 0.500
Mg6 Mg 0.009 0.240 0.500
Mg7 Mg 0.820 0.241 0.000
Mg8 Mg 0.020 0.500 0.000
Mg9 Mg 0.424 0.238 0.500
Mg10 Mg 0.735 0.000 0.500
Mg11 Mg 0.231 0.732 0.000
Mg12 Mg 0.227 0.500 0.500
Mg13 Mg 0.828 0.500 0.500
Mg14 Mg 0.820 0.759 0.000
Li1 Li 0.993 0.000 0.000
```

Output
The spin magnetization is 0.00 μB/atom.

=====

Entry B
Crystalline CsLiMg14O15 at its relaxed geometry. Source: the Materials Project database, functional PBE-GGA.

The structure in CIF format:
```
data_CsLiMg14O15
_chemical_formula_sum 'Cs1 Li1 Mg14 O15'
_cell_length_a 8.533
_cell_length_b 8.809
_cell_length_c 4.385
_cell_angle_alpha 90.00
_cell_angle_beta 90.00
_cell_angle_gamma 90.00
_space_group_name_H-M_alt 'P 1'
_space_group_IT_number 1
loop_
_space_group_symop_operation_xyz
'x,y,z'
loop_
_atom_site_label
_atom_site_type_symbol
_atom_site_fract_x
_atom_site_fract_y
_atom_site_fract_z
Li1 Li 0.981 0.000 0.000
O1 O 0.988 0.500 0.500
O2 O 0.245 0.741 0.500
O3 O 0.998 0.226 0.000
O4 O 0.000 0.000 0.500
O5 O 0.743 0.249 0.500
O6 O 0.733 0.000 0.000
O7 O 0.482 0.265 0.000
O8 O 0.493 0.500 0.500
O9 O 0.743 0.751 0.500
O10 O 0.492 0.000 0.500
O11 O 0.482 0.735 0.000
O12 O 0.266 0.000 0.000
O13 O 0.998 0.774 0.000
O14 O 0.747 0.500 0.000
O15 O 0.245 0.259 0.500
Mg1 Mg 0.991 0.234 0.500
Mg2 Mg 0.265 0.500 0.500
Mg3 Mg 0.241 0.000 0.500
Mg4 Mg 0.498 0.752 0.500
Mg5 Mg 0.759 0.751 0.000
Mg6 Mg 0.523 0.500 0.000
Mg7 Mg 0.502 0.000 0.000
Mg8 Mg 0.240 0.215 0.000
Mg9 Mg 0.991 0.766 0.500
Mg10 Mg 0.751 0.000 0.500
Mg11 Mg 0.498 0.248 0.500
Mg12 Mg 0.240 0.785 0.000
Mg13 Mg 0.759 0.249 0.000
Mg14 Mg 0.757 0.500 0.500
Cs1 Cs 0.098 0.500 0.000
```

Output
The spin magnetization is 0.00 μB/atom.

=====

Which structure loses on stability? entry B does.